1.
# Na9Fe10Si20O60 GGA+U relaxed
# MP2020-corrected energy, eV per cell: -770.366
# Magnetic moment, μB per cell: 49.0
# Calculated formation energy, eV/atom: -2.711
data_Na9Fe10Si20O60
_cell_length_a 9.809
_cell_length_b 10.387
_cell_length_c 11.269
_cell_angle_alpha 94.92
_cell_angle_beta 98.34
_cell_angle_gamma 99.05
_space_group_name_H-M_alt 'P 1'
_space_group_IT_number 1
_space_group_name_Hall 'P 1'
loop_
_atom_site_label
_atom_site_fract_x
_atom_site_fract_y
_atom_site_fract_z
Na1 0.000 0.000 0.000
Na2 0.018 0.575 0.037
Na3 0.200 0.798 0.399
Na4 0.220 0.375 0.437
Na5 0.401 0.599 0.801
Na6 0.421 0.175 0.839
Na7 0.618 0.975 0.237
Na8 0.799 0.200 0.599
Na9 0.818 0.775 0.637
Fe1 0.080 0.318 0.159
Fe2 0.141 0.057 0.278
Fe3 0.280 0.118 0.559
Fe4 0.339 0.856 0.678
Fe5 0.480 0.917 0.960
Fe6 0.541 0.651 0.081
Fe7 0.679 0.716 0.358
Fe8 0.736 0.456 0.473
Fe9 0.878 0.517 0.758
Fe10 0.938 0.257 0.879
Si1 0.070 0.605 0.559
Si2 0.084 0.011 0.749
Si3 0.135 0.363 0.688
Si4 0.148 0.768 0.877
Si5 0.270 0.405 0.960
Si6 0.284 0.810 0.148
Si7 0.338 0.165 0.090
Si8 0.349 0.568 0.277
Si9 0.471 0.206 0.359
Si10 0.483 0.611 0.548
Si11 0.535 0.963 0.489
Si12 0.549 0.369 0.677
Si13 0.671 0.005 0.760
Si14 0.684 0.411 0.949
Si15 0.735 0.762 0.889
Si16 0.746 0.171 0.078
Si17 0.871 0.806 0.160
Si18 0.884 0.211 0.348
Si19 0.934 0.562 0.288
Si20 0.949 0.969 0.477
O1 0.039 0.223 0.306
O2 0.057 0.585 0.410
O3 0.058 0.623 0.836
O4 0.060 0.131 0.840
O5 0.060 0.880 0.823
O6 0.107 0.996 0.443
O7 0.112 0.378 0.995
O8 0.158 0.494 0.614
O9 0.159 0.243 0.597
O10 0.160 0.751 0.600
O11 0.162 0.788 0.027
O12 0.182 0.152 0.132
O13 0.239 0.023 0.706
O14 0.256 0.387 0.810
O15 0.259 0.423 0.236
O16 0.259 0.678 0.222
O17 0.260 0.929 0.241
O18 0.307 0.796 0.842
O19 0.312 0.176 0.394
O20 0.356 0.292 0.011
O21 0.359 0.043 0.997
O22 0.361 0.550 0.001
O23 0.362 0.588 0.427
O24 0.381 0.952 0.532
O25 0.438 0.822 0.105
O26 0.458 0.182 0.211
O27 0.459 0.223 0.638
O28 0.460 0.480 0.623
O29 0.460 0.731 0.640
O30 0.507 0.601 0.244
O31 0.512 0.977 0.795
O32 0.556 0.351 0.408
O33 0.559 0.844 0.397
O34 0.560 0.095 0.415
O35 0.562 0.389 0.827
O36 0.580 0.752 0.933
O37 0.638 0.623 0.506
O38 0.657 0.985 0.611
O39 0.658 0.024 0.036
O40 0.658 0.278 0.019
O41 0.667 0.537 0.036
O42 0.707 0.397 0.642
O43 0.713 0.779 0.195
O44 0.758 0.644 0.796
O45 0.758 0.894 0.815
O46 0.760 0.150 0.800
O47 0.763 0.184 0.227
O48 0.782 0.556 0.335
O49 0.838 0.421 0.904
O50 0.858 0.787 0.010
O51 0.858 0.824 0.436
O52 0.860 0.331 0.439
O53 0.861 0.081 0.424
O54 0.906 0.197 0.043
O55 0.912 0.578 0.595
O56 0.959 0.443 0.197
O57 0.959 0.694 0.214
O58 0.961 0.951 0.201
O59 0.963 0.988 0.627
O60 0.980 0.351 0.731



2.
# NaFe2Si4O12 GGA+U relaxed
# E above lowest polymorph, meV per atom: 5
# MP2020-corrected energy, eV per cell: -298.325
# Magnetic moment, μB per cell: 18.0
# Calculated formation energy, eV/atom: -2.622
data_NaFe2Si4O12
_cell_length_a 5.357
_cell_length_b 8.806
_cell_length_c 9.515
_cell_angle_alpha 90.00
_cell_angle_beta 103.75
_cell_angle_gamma 90.00
_space_group_name_H-M_alt 'P 1 2 1'
_space_group_IT_number 3
_space_group_name_Hall 'P 2y'
loop_
_atom_site_label
_atom_site_fract_x
_atom_site_fract_y
_atom_site_fract_z
Na1 0.000 0.000 0.000
Na2 0.500 0.499 0.500
Fe1 0.000 0.401 0.000
Fe2 0.000 0.697 0.500
Fe3 0.500 0.201 0.000
Fe4 0.500 0.895 0.500
Si1 0.190 0.381 0.706
Si2 0.196 0.709 0.208
Si3 0.308 0.205 0.298
Si4 0.314 0.886 0.792
O1 0.082 0.797 0.846
O2 0.090 0.299 0.357
O3 0.179 0.538 0.149
O4 0.184 0.552 0.639
O5 0.228 0.213 0.118
O6 0.242 0.872 0.612
O7 0.267 0.368 0.884
O8 0.282 0.721 0.388
O9 0.312 0.053 0.861
O10 0.319 0.030 0.357
O11 0.407 0.805 0.143
O12 0.417 0.293 0.646



3.
# NaFe2Si4O12 GGA+U relaxed
# E above lowest polymorph, meV per atom: 0
# MP2020-corrected energy, eV per cell: -298.524
# Magnetic moment, μB per cell: 18.0
# Calculated formation energy, eV/atom: -2.627
data_NaFe2Si4O12
_cell_length_a 9.780
_cell_length_b 8.845
_cell_length_c 5.359
_cell_angle_alpha 90.00
_cell_angle_beta 108.13
_cell_angle_gamma 90.00
_space_group_name_H-M_alt 'C 1 2 1'
_space_group_IT_number 5
_space_group_name_Hall 'C 2y'
loop_
_atom_site_label
_atom_site_fract_x
_atom_site_fract_y
_atom_site_fract_z
Na1 0.000 0.000 0.000
Fe1 0.000 0.199 0.500
Fe2 0.000 0.402 0.000
Si1 0.207 0.709 0.011
Si2 0.208 0.883 0.517
O1 0.115 0.218 0.889
O2 0.115 0.368 0.382
O3 0.139 0.052 0.452
O4 0.145 0.804 0.736
O5 0.146 0.538 0.965
O6 0.149 0.796 0.230



4.
# NaSmFe4O12 GGA+U relaxed
# MP2020-corrected energy, eV per cell: -124.462
# Magnetic moment, μB per cell: 19.1
# Calculated formation energy, eV/atom: -1.398
data_NaSmFe4O12
_cell_length_a 5.380
_cell_length_b 5.380
_cell_length_c 7.639
_cell_angle_alpha 90.00
_cell_angle_beta 90.00
_cell_angle_gamma 90.00
_space_group_name_H-M_alt 'P 4/m m m'
_space_group_IT_number 123
_space_group_name_Hall '-P 4 2'
loop_
_atom_site_label
_atom_site_fract_x
_atom_site_fract_y
_atom_site_fract_z
Na1 0.000 0.000 0.000
Sm1 0.500 0.500 0.500
Fe1 0.000 0.500 0.245
O1 0.000 0.500 0.000
O2 0.000 0.500 0.500
O3 0.260 0.260 0.264



5.
# NaFeSnO4 GGA+U relaxed
# MP2020-corrected energy, eV per cell: -188.771
# Magnetic moment, μB per cell: 0.0
# Calculated formation energy, eV/atom: -1.943
data_NaFeSnO4
_cell_length_a 3.121
_cell_length_b 11.151
_cell_length_c 9.458
_cell_angle_alpha 90.00
_cell_angle_beta 90.00
_cell_angle_gamma 90.00
_space_group_name_H-M_alt 'P m c 21'
_space_group_IT_number 26
_space_group_name_Hall 'P 2c -2'
loop_
_atom_site_label
_atom_site_fract_x
_atom_site_fract_y
_atom_site_fract_z
Na1 0.000 0.096 0.000
Na2 0.500 0.401 0.516
Fe1 0.500 0.145 0.678
Fe2 0.500 0.364 0.194
Sn1 0.000 0.138 0.322
Sn2 0.000 0.353 0.843
O1 0.000 0.036 0.738
O2 0.000 0.265 0.644
O3 0.000 0.325 0.333
O4 0.000 0.405 0.056
O5 0.500 0.095 0.466
O6 0.500 0.177 0.178
O7 0.500 0.229 0.878
O8 0.500 0.467 0.782



6.
# NaSrTbFeO6 GGA+U relaxed
# MP2020-corrected energy, eV per cell: -273.090
# Magnetic moment, μB per cell: 16.0
# Calculated formation energy, eV/atom: -2.247
data_NaSrTbFeO6
_cell_length_a 8.137
_cell_length_b 8.137
_cell_length_c 8.137
_cell_angle_alpha 90.00
_cell_angle_beta 90.00
_cell_angle_gamma 90.00
_space_group_name_H-M_alt 'F -4 3 m'
_space_group_IT_number 216
_space_group_name_Hall 'F -4 2 3'
loop_
_atom_site_label
_atom_site_fract_x
_atom_site_fract_y
_atom_site_fract_z
Na1 0.000 0.000 0.000
Sr1 0.000 0.000 0.500
Tb1 0.250 0.250 0.750
Fe1 0.250 0.250 0.250
O1 0.021 0.250 0.250



7.
# Na3TiFe3O8 GGA+U relaxed
# MP2020-corrected energy, eV per cell: -108.922
# Magnetic moment, μB per cell: 15.0
# Calculated formation energy, eV/atom: -2.138
data_Na3TiFe3O8
_cell_length_a 5.243
_cell_length_b 6.039
_cell_length_c 5.800
_cell_angle_alpha 90.00
_cell_angle_beta 107.95
_cell_angle_gamma 90.00
_space_group_name_H-M_alt 'P 1 2/m 1'
_space_group_IT_number 10
_space_group_name_Hall '-P 2y'
loop_
_atom_site_label
_atom_site_fract_x
_atom_site_fract_y
_atom_site_fract_z
Na1 0.000 0.000 0.000
Na2 0.500 0.260 0.000
Ti1 0.500 0.500 0.500
Fe1 0.000 0.249 0.500
Fe2 0.500 0.000 0.500
O1 0.232 0.000 0.701
O2 0.244 0.500 0.689
O3 0.275 0.254 0.308



8.
# NaTi3FeO8 GGA+U relaxed
# MP2020-corrected energy, eV per cell: -223.952
# Magnetic moment, μB per cell: 10.0
# Calculated formation energy, eV/atom: -2.993
data_NaTi3FeO8
_cell_length_a 12.400
_cell_length_b 3.843
_cell_length_c 6.568
_cell_angle_alpha 90.00
_cell_angle_beta 107.31
_cell_angle_gamma 90.00
_space_group_name_H-M_alt 'C 1 m 1'
_space_group_IT_number 8
_space_group_name_Hall 'C -2y'
loop_
_atom_site_label
_atom_site_fract_x
_atom_site_fract_y
_atom_site_fract_z
Na1 0.000 0.000 0.000
Ti1 0.103 0.500 0.705
Ti2 0.204 0.500 0.298
Ti3 0.400 0.000 0.297
Fe1 0.300 0.000 0.711
O1 0.060 0.500 0.372
O2 0.131 0.500 0.016
O3 0.134 0.000 0.719
O4 0.237 0.000 0.346
O5 0.262 0.500 0.652
O6 0.364 0.500 0.300
O7 0.378 0.000 0.012
O8 0.448 0.000 0.641



Values of calculated total energy, in order: -7.137; -7.179; -7.185; -5.955; -6.027; -6.189; -6.444; -8.017, all in eV/atom.